[1]
## Na10ScNb7Si12O48 (PBE)

Data for a relaxed structure of Na10ScNb7Si12O48.

Properties
Volume = 13.8 Å³ per atom
Total moment = 0.0 Bohr magnetons per cell
Formation enthalpy at 0 K = -3.013 eV per atom

Cell: 9.084 15.710 22.595 Å, 90.00 90.00 90.01°
Sites, in units of the cell vectors:
Na 0.000 0.000 0.000
Na 0.001 0.674 0.664
Na 0.005 0.038 0.662
Na 0.018 0.374 0.000
Na 0.127 0.875 0.500
Na 0.138 0.536 0.162
Na 0.139 0.506 0.498
Na 0.181 0.856 0.163
Na 0.316 0.029 0.082
Na 0.322 0.357 0.912
Na 0.323 0.357 0.415
Na 0.325 0.034 0.581
Na 0.329 0.684 0.750
Na 0.333 0.690 0.250
Na 0.450 0.196 0.001
Na 0.462 0.858 0.663
Na 0.500 0.500 0.999
Na 0.507 0.207 0.330
Na 0.518 0.874 0.000
Na 0.639 0.035 0.163
Na 0.644 0.001 0.501
Na 0.683 0.357 0.163
Na 0.698 0.695 0.500
Na 0.810 0.513 0.583
Na 0.816 0.195 0.748
Na 0.816 0.529 0.082
Na 0.823 0.856 0.913
Na 0.823 0.857 0.414
Na 0.842 0.188 0.249
Na 0.950 0.696 0.001
Sc 0.323 0.356 0.061
Sc 0.822 0.856 0.061
Sc 0.822 0.857 0.561
Nb 0.317 0.359 0.268
Nb 0.319 0.024 0.228
Nb 0.321 0.025 0.435
Nb 0.321 0.690 0.889
Nb 0.322 0.357 0.770
Nb 0.322 0.689 0.390
Nb 0.323 0.023 0.932
Nb 0.325 0.353 0.559
Nb 0.325 0.687 0.602
Nb 0.326 0.027 0.728
Nb 0.326 0.690 0.102
Nb 0.819 0.519 0.726
Nb 0.820 0.520 0.435
Nb 0.821 0.193 0.603
Nb 0.821 0.526 0.229
Nb 0.822 0.856 0.769
Nb 0.823 0.190 0.889
Nb 0.823 0.523 0.932
Nb 0.823 0.856 0.269
Nb 0.826 0.190 0.102
Nb 0.826 0.191 0.392
Si 0.031 0.356 0.162
Si 0.032 0.023 0.829
Si 0.034 0.689 0.496
Si 0.110 0.189 0.995
Si 0.112 0.523 0.331
Si 0.113 0.857 0.662
Si 0.175 0.169 0.330
Si 0.177 0.213 0.665
Si 0.177 0.498 0.663
Si 0.177 0.547 0.996
Si 0.177 0.878 0.331
Si 0.179 0.834 0.996
Si 0.465 0.211 0.163
Si 0.465 0.834 0.497
Si 0.467 0.171 0.832
Si 0.467 0.545 0.496
Si 0.468 0.878 0.829
Si 0.470 0.502 0.162
Si 0.532 0.523 0.830
Si 0.534 0.856 0.163
Si 0.536 0.191 0.496
Si 0.608 0.357 0.664
Si 0.610 0.689 0.995
Si 0.614 0.021 0.331
Si 0.676 0.378 0.329
Si 0.677 0.047 0.996
Si 0.678 0.003 0.662
Si 0.679 0.669 0.333
Si 0.679 0.711 0.662
Si 0.680 0.334 0.996
Si 0.965 0.711 0.162
Si 0.966 0.668 0.828
Si 0.967 0.334 0.497
Si 0.968 0.001 0.162
Si 0.968 0.047 0.498
Si 0.970 0.378 0.830
O 0.000 0.174 0.054
O 0.000 0.201 0.939
O 0.002 0.845 0.998
O 0.007 0.511 0.390
O 0.008 0.533 0.272
O 0.021 0.878 0.603
O 0.124 0.378 0.103
O 0.137 0.035 0.771
O 0.139 0.674 0.556
O 0.140 0.012 0.888
O 0.144 0.344 0.219
O 0.145 0.677 0.836
O 0.146 0.348 0.501
O 0.147 0.011 0.173
O 0.147 0.371 0.825
O 0.147 0.700 0.440
O 0.148 0.037 0.491
O 0.148 0.702 0.159
O 0.206 0.606 0.057
O 0.209 0.101 0.992
O 0.211 0.443 0.602
O 0.213 0.109 0.273
O 0.214 0.272 0.722
O 0.214 0.273 0.999
O 0.214 0.938 0.389
O 0.215 0.437 0.325
O 0.215 0.608 0.335
O 0.216 0.770 0.659
O 0.219 0.773 0.940
O 0.223 0.940 0.672
O 0.247 0.116 0.669
O 0.248 0.925 0.272
O 0.249 0.261 0.606
O 0.250 0.453 0.999
O 0.250 0.595 0.657
O 0.251 0.452 0.720
O 0.251 0.597 0.941
O 0.253 0.121 0.387
O 0.253 0.790 0.056
O 0.254 0.785 0.337
O 0.260 0.260 0.324
O 0.262 0.928 0.992
O 0.384 0.928 0.492
O 0.385 0.595 0.159
O 0.387 0.453 0.502
O 0.390 0.263 0.826
O 0.390 0.785 0.835
O 0.390 0.789 0.556
O 0.391 0.452 0.218
O 0.391 0.591 0.439
O 0.398 0.122 0.891
O 0.398 0.926 0.772
O 0.399 0.249 0.102
O 0.405 0.112 0.171
O 0.422 0.773 0.159
O 0.423 0.939 0.173
O 0.426 0.771 0.441
O 0.427 0.109 0.775
O 0.429 0.274 0.502
O 0.431 0.438 0.825
O 0.431 0.608 0.836
O 0.432 0.937 0.889
O 0.435 0.272 0.221
O 0.436 0.608 0.554
O 0.438 0.102 0.492
O 0.454 0.446 0.102
O 0.495 0.041 0.992
O 0.497 0.366 0.325
O 0.497 0.705 0.658
O 0.499 0.013 0.673
O 0.499 0.701 0.939
O 0.500 0.674 0.053
O 0.500 0.676 0.337
O 0.501 0.369 0.606
O 0.503 0.344 0.722
O 0.503 0.345 0.998
O 0.506 0.036 0.274
O 0.507 0.012 0.390
O 0.623 0.878 0.103
O 0.634 0.203 0.435
O 0.638 0.512 0.890
O 0.642 0.844 0.498
O 0.645 0.533 0.774
O 0.645 0.844 0.220
O 0.646 0.177 0.836
O 0.647 0.175 0.552
O 0.647 0.871 0.824
O 0.648 0.512 0.172
O 0.648 0.540 0.492
O 0.649 0.202 0.160
O 0.690 0.946 0.602
O 0.706 0.106 0.057
O 0.709 0.776 0.718
O 0.710 0.110 0.336
O 0.710 0.601 0.992
O 0.712 0.272 0.656
O 0.713 0.773 0.998
O 0.714 0.441 0.669
O 0.716 0.439 0.386
O 0.717 0.937 0.325
O 0.718 0.607 0.276
O 0.720 0.272 0.940
O 0.745 0.423 0.270
O 0.746 0.282 0.334
O 0.749 0.622 0.391
O 0.750 0.953 0.999
O 0.751 0.097 0.941
O 0.753 0.290 0.056
O 0.753 0.617 0.672
O 0.754 0.747 0.602
O 0.757 0.762 0.324
O 0.757 0.953 0.718
O 0.760 0.096 0.659
O 0.762 0.428 0.992
O 0.885 0.095 0.159
O 0.888 0.761 0.823
O 0.888 0.953 0.218
O 0.891 0.285 0.836
O 0.892 0.954 0.498
O 0.893 0.099 0.442
O 0.894 0.430 0.491
O 0.896 0.286 0.555
O 0.896 0.620 0.888
O 0.897 0.428 0.774
O 0.900 0.747 0.100
O 0.904 0.613 0.171
O 0.922 0.272 0.159
O 0.922 0.439 0.172
O 0.928 0.276 0.439
O 0.930 0.108 0.836
O 0.932 0.774 0.498
O 0.932 0.937 0.824
O 0.933 0.436 0.890
O 0.933 0.609 0.770
O 0.934 0.602 0.492
O 0.934 0.776 0.217
O 0.935 0.103 0.558
O 0.954 0.946 0.102
O 0.996 0.541 0.992
O 0.997 0.178 0.335
O 0.998 0.200 0.659
O 0.998 0.514 0.668
O 0.999 0.840 0.718
O 0.999 0.871 0.324

[2]
## Na2Nb2Si3O12 (PBE)

Data for a relaxed structure of Na2Nb2Si3O12.

Properties
Volume = 14.0 Å³ per atom
Total moment = 0.0 Bohr magnetons per cell
Formation enthalpy at 0 K = -3.021 eV per atom

Cell: 9.033 9.033 22.612 Å, 90.18 89.82 120.22°
Sites, in units of the cell vectors:
Na 0.634 0.634 0.750
O 0.505 0.361 0.423
O 0.696 0.524 0.528
O 0.807 0.829 0.192
Si 0.380 0.336 0.085
Nb 0.332 0.661 0.022
O 0.859 0.495 0.422
O 0.828 0.526 0.744
Si 0.622 0.955 0.417
O 0.492 0.361 0.145
O 0.027 0.826 0.688
Si 0.378 0.045 0.583
O 0.829 0.807 0.308
O 0.973 0.174 0.312
O 0.495 0.859 0.078
Nb 0.665 0.327 0.689
O 0.161 0.192 0.411
O 0.354 0.853 0.579
O 0.141 0.496 0.858
Si 0.997 0.286 0.252
O 0.505 0.141 0.922
O 0.312 0.481 0.754
Si 0.003 0.714 0.748
Si 0.289 0.289 0.750
Nb 0.339 0.668 0.522
O 0.163 0.474 0.975
Si 0.664 0.620 0.585
O 0.186 0.021 0.588
O 0.519 0.688 0.254
O 0.839 0.808 0.589
Na 0.333 0.667 0.167
O 0.839 0.028 0.090
O 0.192 0.161 0.089
O 0.141 0.505 0.578
O 0.841 0.306 0.522
Na 0.000 0.000 0.000
O 0.159 0.694 0.478
Nb 0.006 0.001 0.855
O 0.858 0.362 0.639
O 0.826 0.027 0.812
O 0.171 0.193 0.692
O 0.191 0.029 0.305
O 0.174 0.973 0.188
O 0.193 0.171 0.808
O 0.639 0.495 0.923
O 0.172 0.474 0.256
Nb 0.327 0.665 0.811
O 0.474 0.172 0.244
Nb 0.335 0.673 0.311
Si 0.620 0.664 0.915
O 0.971 0.809 0.805
Na 0.968 0.301 0.417
Na 0.032 0.699 0.583
O 0.474 0.163 0.525
Nb 0.668 0.339 0.978
O 0.688 0.519 0.246
O 0.638 0.142 0.139
O 0.361 0.492 0.355
O 0.524 0.696 0.972
Na 0.699 0.032 0.917
O 0.809 0.971 0.695
O 0.305 0.828 0.256
Si 0.330 0.953 0.918
O 0.496 0.141 0.642
O 0.028 0.839 0.410
Si 0.670 0.047 0.082
O 0.147 0.646 0.079
O 0.526 0.837 0.475
O 0.362 0.858 0.861
Na 0.667 0.333 0.333
O 0.814 0.979 0.412
O 0.808 0.839 0.911
O 0.837 0.526 0.025
Na 0.366 0.366 0.250
Nb 0.994 0.999 0.145
Si 0.714 0.003 0.752
O 0.021 0.186 0.912
Si 0.045 0.378 0.917
O 0.859 0.504 0.142
O 0.476 0.304 0.028
Nb 0.001 0.006 0.645
O 0.161 0.972 0.910
Na 0.333 0.667 0.667
O 0.853 0.354 0.921
O 0.639 0.508 0.645
Na 0.000 0.000 0.500
Si 0.336 0.380 0.415
O 0.306 0.841 0.978
Nb 0.999 0.994 0.355
O 0.029 0.191 0.195
Si 0.955 0.622 0.083
Nb 0.673 0.335 0.189
O 0.361 0.505 0.077
O 0.495 0.639 0.577
O 0.172 0.695 0.756
O 0.508 0.639 0.855
Na 0.667 0.333 0.833
O 0.979 0.814 0.088
O 0.972 0.161 0.590
O 0.828 0.305 0.244
O 0.526 0.828 0.756
Si 0.711 0.711 0.250
Si 0.953 0.330 0.582
O 0.142 0.638 0.361
O 0.481 0.312 0.746
O 0.694 0.159 0.022
O 0.695 0.172 0.744
Si 0.047 0.670 0.418
O 0.304 0.476 0.472
Na 0.301 0.968 0.083
O 0.504 0.859 0.358
Si 0.286 0.997 0.248
O 0.646 0.147 0.421
Nb 0.661 0.332 0.478

Uncorrected energy values (in eV/f.u.) by entry order: -594.928, -147.656.